Record 1
Computed, not measured: a relaxed La3GaO6 crystal at the PBE level of DFT.

Unit cell a=7.597 b=7.597 c=5.707 alpha=90.00 beta=90.00 gamma=102.89
Fractional coordinates of all 20 atoms:
La 0.104 0.896 0.500
La 0.200 0.413 0.460
La 0.413 0.200 0.960
La 0.587 0.800 0.460
La 0.800 0.587 0.960
La 0.896 0.104 0.000
Ga 0.306 0.694 0.923
Ga 0.694 0.306 0.423
O 0.086 0.611 0.757
O 0.146 0.174 0.727
O 0.174 0.146 0.227
O 0.285 0.715 0.247
O 0.389 0.914 0.757
O 0.454 0.546 0.798
O 0.546 0.454 0.298
O 0.611 0.086 0.257
O 0.715 0.285 0.747
O 0.826 0.854 0.727
O 0.854 0.826 0.227
O 0.914 0.389 0.257

Calculated density   6.02 g/cm³
Final energy   -7.86 eV/atom
V   16.1 A^3/atom
Calculated formation energy   -3.522 eV per atom

---

Record 2
Computed, not measured: a relaxed AlVFe2 crystal at the PBE level of DFT.

Unit cell a=2.874 b=2.874 c=5.693 alpha=90.00 beta=90.00 gamma=90.00
Fractional coordinates of all 4 atoms:
Al 0.000 0.000 0.000
V 0.000 0.000 0.500
Fe 0.500 0.500 0.259
Fe 0.500 0.500 0.741

Calculated density   6.70 g/cm³
Final energy   -7.82 eV/atom
V   11.8 A^3/atom
Calculated formation energy   -0.381 eV per atom

---

Record 3
Computed, not measured: a relaxed KMg2As2H31O23 crystal at the PBE level of DFT.

Unit cell a=6.459 b=6.684 c=12.901 alpha=86.66 beta=83.76 gamma=88.39
Fractional coordinates of all 59 atoms:
K 0.000 0.000 0.000
Mg 0.013 0.084 0.721
Mg 0.524 0.084 0.217
As 0.389 0.540 0.913
As 0.649 0.647 0.524
H 0.044 0.429 0.594
H 0.052 0.081 0.353
H 0.053 0.793 0.579
H 0.075 0.591 0.410
H 0.220 0.793 0.292
H 0.237 0.871 0.173
H 0.270 0.397 0.632
H 0.272 0.419 0.250
H 0.283 0.886 0.582
H 0.326 0.580 0.390
H 0.363 0.139 0.831
H 0.366 0.911 0.796
H 0.388 0.458 0.135
H 0.492 0.878 0.035
H 0.494 0.122 0.001
H 0.521 0.578 0.703
H 0.526 0.290 0.398
H 0.529 0.052 0.435
H 0.644 0.712 0.310
H 0.659 0.257 0.654
H 0.667 0.034 0.614
H 0.709 0.601 0.053
H 0.744 0.292 0.862
H 0.744 0.778 0.814
H 0.764 0.733 0.196
H 0.827 0.352 0.140
H 0.834 0.181 0.384
H 0.899 0.207 0.232
H 0.960 0.572 0.024
H 0.978 0.381 0.864
H 0.979 0.726 0.838
O 0.121 0.554 0.917
O 0.134 0.334 0.632
O 0.137 0.886 0.614
O 0.195 0.598 0.354
O 0.244 0.920 0.242
O 0.277 0.035 0.804
O 0.354 0.353 0.192
O 0.459 0.632 0.027
O 0.482 0.296 0.903
O 0.502 0.683 0.806
O 0.508 0.017 0.059
O 0.530 0.500 0.635
O 0.533 0.152 0.373
O 0.552 0.887 0.536
O 0.565 0.544 0.418
O 0.689 0.811 0.251
O 0.732 0.126 0.659
O 0.820 0.210 0.169
O 0.847 0.590 0.083
O 0.882 0.837 0.819
O 0.897 0.266 0.845
O 0.912 0.623 0.525
O 0.976 0.208 0.351

Relative energy among the computed polymorphs   0 meV per atom
Calculated density   1.91 g/cm³
Final energy   -5.16 eV/atom
V   9.4 A^3/atom
Calculated formation energy   -1.486 eV per atom

---

Record 4
Computed, not measured: a relaxed CaGe2Rh2 crystal at the PBE level of DFT.

Unit cell a=6.028 b=6.028 c=6.028 alpha=139.35 beta=139.35 gamma=58.84
Fractional coordinates of all 5 atoms:
Ca 0.000 0.000 0.000
Ge 0.374 0.374 0.000
Ge 0.626 0.626 0.000
Rh 0.250 0.750 0.500
Rh 0.750 0.250 0.500

Calculated density   7.06 g/cm³
Final energy   -6.00 eV/atom
V   18.4 A^3/atom
Calculated formation energy   -0.800 eV per atom

---

Record 5
Computed, not measured: a relaxed Cs2LiPrCl6 crystal at the PBE level of DFT.

Unit cell a=7.649 b=7.649 c=7.649 alpha=60.00 beta=60.00 gamma=60.00
Fractional coordinates of all 10 atoms:
Cs 0.250 0.250 0.250
Cs 0.750 0.750 0.750
Li 0.000 0.000 0.000
Pr 0.500 0.500 0.500
Cl 0.245 0.245 0.755
Cl 0.245 0.755 0.245
Cl 0.245 0.755 0.755
Cl 0.755 0.245 0.245
Cl 0.755 0.245 0.755
Cl 0.755 0.755 0.245

Calculated density   3.29 g/cm³
Final energy   -4.06 eV/atom
V   31.6 A^3/atom
Calculated formation energy   -2.467 eV per atom

---

Record 6
Computed, not measured: a relaxed SbPH4O4F6 crystal at the PBE level of DFT.

Unit cell a=5.171 b=5.171 c=14.316 alpha=93.73 beta=93.73 gamma=98.09
Fractional coordinates of all 32 atoms:
Sb 0.000 0.000 0.000
Sb 0.000 0.000 0.500
P 0.375 0.625 0.750
P 0.625 0.375 0.250
H 0.004 0.597 0.303
H 0.403 0.996 0.197
H 0.414 0.502 0.894
H 0.498 0.586 0.606
H 0.502 0.414 0.394
H 0.586 0.498 0.106
H 0.597 0.004 0.803
H 0.996 0.403 0.697
O 0.072 0.569 0.734
O 0.431 0.928 0.766
O 0.487 0.493 0.333
O 0.493 0.487 0.833
O 0.507 0.513 0.167
O 0.513 0.507 0.667
O 0.569 0.072 0.234
O 0.928 0.431 0.266
F 0.089 0.876 0.377
F 0.122 0.700 0.943
F 0.124 0.911 0.123
F 0.208 0.331 0.486
F 0.300 0.878 0.557
F 0.331 0.208 0.986
F 0.669 0.792 0.014
F 0.700 0.122 0.443
F 0.792 0.669 0.514
F 0.876 0.089 0.877
F 0.878 0.300 0.057
F 0.911 0.124 0.623

Calculated density   2.95 g/cm³
Final energy   -5.23 eV/atom
V   11.8 A^3/atom
Calculated formation energy   -2.178 eV per atom